PrYMg2 | GGA-PBE | optimized geometry

```
PrYMg2
1.0
1.3475 -5.2188 0.8084
-3.8467 -3.6395 1.2894
-1.4881 -3.7912 -3.6218
Y Mg Pr
1 2 1
Direct
0.0000 0.0000 0.0000
0.7500 0.7500 0.7500
0.2500 0.2500 0.2500
0.5000 0.5000 0.5000
```

Summary:
* theoretical density: 4.04 g/cm³
* calculated formation energy: -0.45 eV per formula unit
* energy above the most stable polymorph in this dataset: 0 meV/atom
* E: -3.7254 eV/atom

RbCoBr3 | GGA-PBE | optimized geometry

```
RbCoBr3
1.0
3.7462 -6.4887 0.0000
3.7462 6.4887 0.0000
0.0000 0.0000 6.2183
Co Br Rb
2 6 2
Direct
0.0000 0.0000 0.0000
0.0000 0.0000 0.5000
0.3202 0.1601 0.7500
0.1601 0.8399 0.2500
0.6798 0.8399 0.2500
0.1601 0.3202 0.2500
0.8399 0.1601 0.7500
0.8399 0.6798 0.7500
0.6667 0.3333 0.2500
0.3333 0.6667 0.7500
```

Summary:
* theoretical density: 4.22 g/cm³
* calculated formation energy: -6.17 eV per formula unit
* E: -3.5128 eV/atom
* energy with MP2020 corrections: -38.33 eV for the cell shown

Ho5Ge10Ir4 | GGA-PBE | optimized geometry

```
Ho5Ge10Ir4
1.0
13.0311 0.0000 0.0000
0.0000 13.0311 0.0000
0.0000 0.0000 4.3145
Ge Ir Ho
20 8 10
Direct
0.3360 0.3005 0.0000
0.1562 0.9921 0.5000
0.0669 0.4331 0.0000
0.4921 0.6562 0.5000
0.5079 0.3438 0.5000
0.8360 0.1995 0.0000
0.6995 0.3360 0.0000
0.8005 0.8360 0.0000
0.3438 0.4921 0.5000
0.1640 0.8005 0.0000
0.9921 0.8438 0.5000
0.8438 0.0079 0.5000
0.3005 0.6640 0.0000
0.5669 0.0669 0.0000
0.6562 0.5079 0.5000
0.0079 0.1562 0.5000
0.9331 0.5669 0.0000
0.6640 0.6995 0.0000
0.1995 0.1640 0.0000
0.4331 0.9331 0.0000
0.2530 0.4810 0.0000
0.9810 0.7530 0.0000
0.4810 0.7470 0.0000
0.2470 0.9810 0.0000
0.0190 0.2470 0.0000
0.7530 0.0190 0.0000
0.5190 0.2530 0.0000
0.7470 0.5190 0.0000
0.3268 0.8268 0.5000
0.3847 0.1153 0.5000
0.0000 0.0000 0.0000
0.1153 0.6153 0.5000
0.8847 0.3847 0.5000
0.6732 0.1732 0.5000
0.1732 0.3268 0.5000
0.6153 0.8847 0.5000
0.5000 0.5000 0.0000
0.8268 0.6732 0.5000
```

Summary:
* theoretical density: 10.52 g/cm³
* calculated formation energy: -14.66 eV per formula unit
* energy above the most stable polymorph in this dataset: 0 meV/atom
* E: -6.2716 eV/atom

ReSF4 | GGA-PBE | optimized geometry

```
ReSF4
1.0
-7.9705 1.4271 -2.9410
-4.0707 -0.8687 10.6105
3.6759 28.1927 3.7184
Re F S
24 96 24
Direct
0.5712 0.7586 0.9659
0.5712 0.7414 0.4659
0.1188 0.9988 0.7145
0.3864 0.7658 0.1474
0.4288 0.2586 0.9659
0.1188 0.5012 0.2145
0.3864 0.7342 0.6474
0.6136 0.2658 0.1474
0.0846 0.4624 0.5333
0.8812 0.4988 0.7145
0.6136 0.2342 0.6474
0.0846 0.0376 0.0333
0.0422 0.4070 0.8973
0.9154 0.5376 0.0333
0.4664 0.9050 0.2834
0.8812 0.0012 0.2145
0.0422 0.0930 0.3973
0.4288 0.2414 0.4659
0.5336 0.0950 0.7834
0.9154 0.9624 0.5333
0.9578 0.9070 0.8973
0.4664 0.5950 0.7834
0.5336 0.4050 0.2834
0.9578 0.5930 0.3973
0.1570 0.1194 0.6702
0.7515 0.4287 0.0241
0.1864 0.5327 0.8980
0.0258 0.0174 0.9681
0.5611 0.6714 0.1618
0.2027 0.4007 0.5835
0.8724 0.1768 0.4229
0.6369 0.5813 0.7384
0.7252 0.0905 0.1797
0.9924 0.1884 0.0278
0.8964 0.9851 0.3729
0.3742 0.8012 0.2138
0.3742 0.6988 0.7138
0.9924 0.3116 0.5278
0.8724 0.3232 0.9229
0.8430 0.6194 0.6702
0.4566 0.2485 0.7946
0.8136 0.4673 0.3980
0.3842 0.1996 0.9053
0.5116 0.5997 0.4365
0.1712 0.5899 0.2683
0.2485 0.9287 0.0241
0.3596 0.8293 0.5935
0.3585 0.4813 0.7474
0.6404 0.3293 0.5935
0.7973 0.5993 0.0835
0.1036 0.4851 0.3729
0.6258 0.3012 0.2138
0.7278 0.3515 0.3047
0.6213 0.6487 0.5190
0.6158 0.6996 0.9053
0.2722 0.6485 0.8047
0.4884 0.0997 0.4365
0.1705 0.3383 0.9465
0.2027 0.0993 0.0835
0.6415 0.5187 0.2474
0.9742 0.9826 0.4681
0.1570 0.3806 0.1702
0.0468 0.3827 0.2553
0.2814 0.1443 0.9900
0.2748 0.9095 0.6797
0.7973 0.9007 0.5835
0.0076 0.8116 0.5278
0.2485 0.5713 0.5241
0.6404 0.1707 0.0935
0.1276 0.6768 0.4229
0.3585 0.0187 0.2474
0.6213 0.8513 0.0190
0.8964 0.5149 0.8729
0.8136 0.0327 0.8980
0.3631 0.0813 0.7384
0.8308 0.2038 0.6453
0.4389 0.3286 0.6618
0.3631 0.4187 0.2384
0.5434 0.7515 0.2946
0.2814 0.3557 0.4900
0.4389 0.1714 0.1618
0.1705 0.1617 0.4465
0.8430 0.8806 0.1702
0.1864 0.9673 0.3980
0.8295 0.8383 0.9465
0.7186 0.8557 0.4900
0.7186 0.6443 0.9900
0.4884 0.4003 0.9365
0.3787 0.3513 0.0190
0.6258 0.1988 0.7138
0.3842 0.3004 0.4053
0.0258 0.4826 0.4681
0.8288 0.4101 0.7683
0.1692 0.7038 0.6453
0.2748 0.5905 0.1797
0.3596 0.6707 0.0935
0.5611 0.8286 0.6618
0.6415 0.9813 0.7474
0.7515 0.0713 0.5241
0.1036 0.0149 0.8729
0.4566 0.2515 0.2946
0.9742 0.5174 0.9681
0.8288 0.0899 0.2683
0.5434 0.7485 0.7946
0.8295 0.6617 0.4465
0.6158 0.8004 0.4053
0.2722 0.8515 0.3047
0.9532 0.6173 0.7553
0.8308 0.2962 0.1453
0.9532 0.8827 0.2553
0.1692 0.7962 0.1453
0.0076 0.6884 0.0278
0.3787 0.1487 0.5190
0.6369 0.9187 0.2384
0.5116 0.9003 0.9365
0.1712 0.9101 0.7683
0.0468 0.1173 0.7553
0.7252 0.4095 0.6797
0.7278 0.1485 0.8047
0.1276 0.8232 0.9229
0.0823 0.4189 0.6916
0.0813 0.0617 0.5668
0.9187 0.9383 0.0668
0.0823 0.0811 0.1916
0.0813 0.4383 0.0668
0.9187 0.5617 0.5668
0.4810 0.5828 0.6202
0.5190 0.0828 0.6202
0.4488 0.5026 0.3382
0.5512 0.4974 0.8382
0.6379 0.1812 0.9820
0.1028 0.1929 0.3402
0.3621 0.8188 0.4820
0.4488 0.9974 0.8382
0.3621 0.6812 0.9820
0.5190 0.4172 0.1202
0.6379 0.3188 0.4820
0.9177 0.9189 0.6916
0.5512 0.0026 0.3382
0.1028 0.3071 0.8402
0.8972 0.8071 0.8402
0.4810 0.9172 0.1202
0.8972 0.6929 0.3402
0.9177 0.5811 0.1916
```

Summary:
* total magnetization: 1.00 μB per formula unit
* theoretical density: 4.17 g/cm³
* calculated formation energy: -12.45 eV per formula unit
* E: -5.7232 eV/atom
* energy with MP2020 corrections: -880.57 eV for the cell shown

Li2AgF4 | GGA-PBE | optimized geometry

```
Li2AgF4
1.0
-4.5128 -3.2817 6.6952
7.4187 -1.1916 4.4163
-0.4858 5.1892 2.2161
Li F Ag
8 16 4
Direct
0.7269 0.7269 0.7500
0.2269 0.7731 0.7500
0.2269 0.2269 0.2500
0.7269 0.2731 0.2500
0.7731 0.7731 0.2500
0.7731 0.2269 0.7500
0.2731 0.7269 0.2500
0.2731 0.2731 0.7500
0.3989 0.2195 0.0275
0.6011 0.2195 0.5275
0.2805 0.8989 0.0275
0.7805 0.3989 0.9725
0.2805 0.1011 0.5275
0.1011 0.2805 0.9725
0.6011 0.7805 0.0275
0.3989 0.7805 0.5275
0.8989 0.2805 0.4725
0.7805 0.6011 0.4725
0.7195 0.1011 0.0275
0.8989 0.7195 0.9725
0.7195 0.8989 0.5275
0.1011 0.7195 0.4725
0.2195 0.3989 0.4725
0.2195 0.6011 0.9725
0.0000 0.5000 0.9778
0.5000 0.0000 0.0222
0.5000 0.0000 0.5222
0.0000 0.5000 0.4778
```

Summary:
* total magnetization: 1.00 μB per formula unit
* theoretical density: 3.05 g/cm³
* calculated formation energy: -16.31 eV per formula unit
* energy above the most stable polymorph in this dataset: 60 meV/atom
* E: -4.1099 eV/atom
* energy with MP2020 corrections: -122.47 eV for the cell shown

RbMoN2 | GGA-PBE | optimized geometry

```
RbMoN2
1.0
-0.9641 -5.4109 2.7439
4.9627 -5.7694 -9.6334
15.2164 0.9695 7.2581
N Mo Rb
32 16 16
Direct
0.7536 0.6195 0.8829
0.7651 0.1309 0.3753
0.2464 0.3805 0.1171
0.2349 0.6309 0.1247
0.2536 0.6195 0.6171
0.5411 0.9998 0.7370
0.2464 0.1195 0.6171
0.2651 0.3691 0.6247
0.4589 0.4998 0.7630
0.0411 0.9998 0.7630
0.8856 0.7549 0.0277
0.0411 0.5002 0.2630
0.3856 0.7549 0.4723
0.7464 0.3805 0.3829
0.6144 0.2451 0.5277
0.1144 0.2549 0.4723
0.1144 0.2451 0.9723
0.5411 0.5002 0.2370
0.4589 0.0001 0.2630
0.2349 0.8691 0.6247
0.7536 0.8805 0.3829
0.6144 0.2549 0.0277
0.8856 0.7451 0.5277
0.3856 0.7451 0.9723
0.2651 0.1309 0.1247
0.7651 0.3691 0.8753
0.7349 0.8691 0.8753
0.2536 0.8805 0.1171
0.9589 0.0001 0.2370
0.7464 0.1195 0.8829
0.7349 0.6309 0.3753
0.9589 0.4998 0.7370
0.7343 0.0023 0.3140
0.7343 0.4977 0.8140
0.7657 0.9977 0.8140
0.3139 0.2470 0.5587
0.1861 0.7530 0.0587
0.3139 0.2530 0.0587
0.6861 0.7470 0.9413
0.8139 0.2530 0.4413
0.1861 0.7470 0.5587
0.7657 0.5023 0.3140
0.2657 0.9977 0.6860
0.2657 0.5023 0.1860
0.6861 0.7530 0.4413
0.2343 0.0023 0.1860
0.2343 0.4977 0.6860
0.8139 0.2470 0.9413
0.1515 0.7480 0.8103
0.2605 0.0004 0.9349
0.7605 0.0004 0.5651
0.7605 0.4996 0.0651
0.3485 0.2520 0.3103
0.8485 0.2520 0.1897
0.6515 0.7520 0.1897
0.7395 0.9996 0.0651
0.1515 0.7520 0.3103
0.7395 0.5004 0.5651
0.3485 0.2480 0.8103
0.6515 0.7480 0.6897
0.2395 0.5004 0.9349
0.2605 0.4996 0.4349
0.8485 0.2480 0.6897
0.2395 0.9996 0.4349
```

Summary:
* total magnetization: 0.00 μB per formula unit
* theoretical density: 4.37 g/cm³
* calculated formation energy: -2.31 eV per formula unit
* E: -7.5224 eV/atom
* energy with MP2020 corrections: -492.98 eV for the cell shown

Question: Number 2 is which compound?
Answer: RbCoBr3

Question: Among the records above, which one has the highest calculated formation energy?
Answer: PrYMg2

Question: theoretical density of number 1 (PrYMg2)?
Answer: 4.04 g/cm³